# KF3 | the Materials Project | r2SCAN | optimized geometry
data_KF3
_cell_length_a 7.404
_cell_length_b 7.244
_cell_length_c 9.446
_cell_angle_alpha 90.00
_cell_angle_beta 92.68
_cell_angle_gamma 90.00
_symmetry_space_group_name_H-M 'P 1 21 1'
_symmetry_Int_Tables_number 4
loop_
_symmetry_equiv_pos_as_xyz
'x,y,z'
'-x,y+1/2,-z'
loop_
_atom_site_label
_atom_site_type_symbol
_atom_site_fract_x
_atom_site_fract_y
_atom_site_fract_z
_atom_site_occupancy
K1 K 0.053 0.000 0.134 1
K2 K 0.077 0.965 0.615 1
K3 K 0.429 0.368 0.098 1
K4 K 0.444 0.334 0.619 1
F1 F 0.036 0.136 0.869 1
F2 F 0.053 0.384 0.130 1
F3 F 0.080 0.367 0.632 1
F4 F 0.191 0.607 0.659 1
F5 F 0.204 0.184 0.382 1
F6 F 0.218 0.671 0.460 1
F7 F 0.280 0.662 0.953 1
F8 F 0.298 0.143 0.861 1
F9 F 0.314 0.723 0.154 1
F10 F 0.415 0.968 0.137 1
F11 F 0.454 0.952 0.633 1
F12 F 0.461 0.200 0.353 1
# * E_form: -1.459 eV/atom
# * total DFT energy (no corrections): -5.3077 eV per atom



# ThAlIr | the Materials Project | r2SCAN | optimized geometry
data_ThAlIr
_cell_length_a 7.1866
_cell_length_b 7.1866
_cell_length_c 4.1580
_cell_angle_alpha 90.00
_cell_angle_beta 90.00
_cell_angle_gamma 120.00
_symmetry_space_group_name_H-M 'P -6 2 m'
_symmetry_Int_Tables_number 189
_symmetry_space_group_name_Hall 'P -6 -2'
loop_
_atom_site_label
_atom_site_type_symbol
_atom_site_fract_x
_atom_site_fract_y
_atom_site_fract_z
_atom_site_occupancy
Th1 Th 0.0000 0.4201 0.0000 1
Al1 Al 0.0000 0.7733 0.5000 1
Ir1 Ir 0.0000 0.0000 0.0000 1
Ir2 Ir 0.3333 0.6667 0.5000 1
# * E_form: -1.050 eV/atom
# * total DFT energy (no corrections): -45.2392 eV per atom



# Zn3Co2C12N12 | the Materials Project | r2SCAN | optimized geometry
data_Zn3Co2C12N12
_cell_length_a 7.270
_cell_length_b 7.270
_cell_length_c 10.243
_cell_angle_alpha 90.00
_cell_angle_beta 90.00
_cell_angle_gamma 90.00
_symmetry_space_group_name_H-M 'P -4 m 2'
_symmetry_Int_Tables_number 115
loop_
_symmetry_equiv_pos_as_xyz
'x,y,z'
'y,-x,-z'
'-x,-y,z'
'-y,x,-z'
'-x,y,z'
'-y,-x,-z'
'x,-y,z'
'y,x,-z'
loop_
_atom_site_label
_atom_site_type_symbol
_atom_site_fract_x
_atom_site_fract_y
_atom_site_fract_z
_atom_site_occupancy
Zn1 Zn 0.000 0.000 0.000 1
Zn2 Zn 0.000 0.500 0.247 1
Co1 Co 0.000 0.500 0.745 1
C1 C 0.000 0.500 0.562 1
C2 C 0.000 0.500 0.926 1
C3 C 0.180 0.317 0.751 1
N1 N 0.000 0.500 0.039 1
N2 N 0.000 0.500 0.449 1
N3 N 0.200 0.288 0.237 1
# * E_form: 0.415 eV/atom
# * total DFT energy (no corrections): -9.3134 eV per atom



# Nd2Ni7P4 | the Materials Project | r2SCAN | optimized geometry
data_Nd2Ni7P4
_cell_length_a 3.741
_cell_length_b 9.185
_cell_length_c 10.388
_cell_angle_alpha 90.00
_cell_angle_beta 90.00
_cell_angle_gamma 90.00
_symmetry_space_group_name_H-M 'P m n 21'
_symmetry_Int_Tables_number 31
loop_
_symmetry_equiv_pos_as_xyz
'x,y,z'
'-x+1/2,-y,z+1/2'
'-x,y,z'
'x+1/2,-y,z+1/2'
loop_
_atom_site_label
_atom_site_type_symbol
_atom_site_fract_x
_atom_site_fract_y
_atom_site_fract_z
_atom_site_occupancy
Nd1 Nd 0.000 0.061 0.000 1
Nd2 Nd 0.000 0.437 0.217 1
Ni1 Ni 0.000 0.062 0.696 1
Ni2 Ni 0.000 0.096 0.303 1
Ni3 Ni 0.000 0.305 0.791 1
Ni4 Ni 0.000 0.418 0.521 1
Ni5 Ni 0.000 0.682 0.477 1
Ni6 Ni 0.000 0.724 0.889 1
Ni7 Ni 0.000 0.746 0.119 1
P1 P 0.000 0.185 0.505 1
P2 P 0.000 0.476 0.934 1
P3 P 0.000 0.816 0.690 1
P4 P 0.000 0.842 0.306 1
# * E_form: -0.878 eV/atom
# * total DFT energy (no corrections): -14.6256 eV per atom



# KCoO2 | the Materials Project | r2SCAN | optimized geometry
data_KCoO2
_cell_length_a 5.750
_cell_length_b 5.750
_cell_length_c 7.090
_cell_angle_alpha 90.00
_cell_angle_beta 90.00
_cell_angle_gamma 90.00
_symmetry_space_group_name_H-M 'I -4'
_symmetry_Int_Tables_number 82
loop_
_symmetry_equiv_pos_as_xyz
'x,y,z'
'y,-x,-z'
'-x,-y,z'
'-y,x,-z'
'x+1/2,y+1/2,z+1/2'
'y+1/2,-x+1/2,-z+1/2'
'-x+1/2,-y+1/2,z+1/2'
'-y+1/2,x+1/2,-z+1/2'
loop_
_atom_site_label
_atom_site_type_symbol
_atom_site_fract_x
_atom_site_fract_y
_atom_site_fract_z
_atom_site_occupancy
K1 K 0.000 0.000 0.000 1
K2 K 0.000 0.500 0.250 1
Co1 Co 0.000 0.000 0.500 1
Co2 Co 0.000 0.500 0.750 1
O1 O 0.125 0.251 0.624 1
# * E_form: -1.471 eV/atom
# * total DFT energy (no corrections): -9.2708 eV per atom



# ErB4 | the Materials Project | r2SCAN | optimized geometry
data_ErB4
_cell_length_a 7.057
_cell_length_b 7.057
_cell_length_c 3.988
_cell_angle_alpha 90.00
_cell_angle_beta 90.00
_cell_angle_gamma 90.00
_symmetry_space_group_name_H-M 'P 4/m b m'
_symmetry_Int_Tables_number 127
_symmetry_space_group_name_Hall '-P 4 2ab'
loop_
_atom_site_label
_atom_site_type_symbol
_atom_site_fract_x
_atom_site_fract_y
_atom_site_fract_z
_atom_site_occupancy
Er1 Er 0.181 0.319 0.000 1
B1 B 0.000 0.000 0.203 1
B2 B 0.038 0.824 0.500 1
B3 B 0.087 0.587 0.500 1
# * E_form: -0.653 eV/atom
# * total DFT energy (no corrections): -13.3156 eV per atom



# Cu6As4S9 | the Materials Project | r2SCAN | optimized geometry
data_Cu6As4S9
_cell_length_a 9.061
_cell_length_b 9.074
_cell_length_c 9.825
_cell_angle_alpha 107.75
_cell_angle_beta 90.10
_cell_angle_gamma 109.43
_symmetry_space_group_name_H-M 'P 1'
_symmetry_Int_Tables_number 1
loop_
_symmetry_equiv_pos_as_xyz
'x,y,z'
loop_
_atom_site_label
_atom_site_type_symbol
_atom_site_fract_x
_atom_site_fract_y
_atom_site_fract_z
_atom_site_occupancy
Cu1 Cu 0.000 0.000 0.000 1
Cu2 Cu 0.025 0.130 0.411 1
Cu3 Cu 0.119 0.444 0.206 1
Cu4 Cu 0.168 0.575 0.602 1
Cu5 Cu 0.232 0.725 0.992 1
Cu6 Cu 0.264 0.886 0.410 1
Cu7 Cu 0.393 0.199 0.198 1
Cu8 Cu 0.573 0.771 0.795 1
Cu9 Cu 0.643 0.927 0.216 1
Cu10 Cu 0.671 0.078 0.605 1
Cu11 Cu 0.718 0.238 0.002 1
Cu12 Cu 0.818 0.532 0.796 1
As1 As 0.104 0.295 0.820 1
As2 As 0.337 0.067 0.818 1
As3 As 0.415 0.320 0.603 1
As4 As 0.471 0.484 0.988 1
As5 As 0.559 0.649 0.397 1
As6 As 0.778 0.399 0.384 1
As7 As 0.884 0.705 0.228 1
As8 As 0.914 0.820 0.601 1
S1 S 0.017 0.375 0.400 1
S2 S 0.066 0.522 0.802 1
S3 S 0.126 0.696 0.199 1
S4 S 0.180 0.835 0.615 1
S5 S 0.244 0.983 0.003 1
S6 S 0.283 0.141 0.396 1
S7 S 0.373 0.445 0.208 1
S8 S 0.421 0.580 0.591 1
S9 S 0.487 0.739 0.007 1
S10 S 0.515 0.877 0.405 1
S11 S 0.570 0.027 0.806 1
S12 S 0.636 0.174 0.205 1
S13 S 0.677 0.327 0.593 1
S14 S 0.730 0.494 0.004 1
S15 S 0.834 0.793 0.808 1
S16 S 0.896 0.942 0.197 1
S17 S 0.926 0.087 0.613 1
S18 S 0.972 0.241 0.002 1
# * E_form: -0.259 eV/atom
# * total DFT energy (no corrections): -10.5862 eV per atom



# MgPt7 | the Materials Project | r2SCAN | optimized geometry
data_MgPt7
_cell_length_a 7.873
_cell_length_b 7.873
_cell_length_c 7.873
_cell_angle_alpha 90.00
_cell_angle_beta 90.00
_cell_angle_gamma 90.00
_symmetry_space_group_name_H-M 'F m -3 m'
_symmetry_Int_Tables_number 225
_symmetry_space_group_name_Hall '-F 4 2 3'
loop_
_atom_site_label
_atom_site_type_symbol
_atom_site_fract_x
_atom_site_fract_y
_atom_site_fract_z
_atom_site_occupancy
Mg1 Mg 0.000 0.000 0.000 1
Pt1 Pt 0.000 0.000 0.500 1
Pt2 Pt 0.000 0.250 0.250 1
# * E_form: -0.370 eV/atom
# * total DFT energy (no corrections): -45.9431 eV per atom